Model w:
Density functional theory data (GGA-PBE) for a relaxed structure of NdSb2Pd.

symmetry	P4/nmm (129)
volume	200.36	Å³/cell

abc: 4.4865 4.4865 9.9543
angles: 90.00 90.00 90.00
Element x y z (fractional)
Pd  0.0000  0.0000  0.0000
Pd  0.5000  0.5000  0.0000
Sb  0.0000  0.5000  0.1548
Sb  0.5000  0.0000  0.8452
Sb  0.0000  0.0000  0.5000
Sb  0.5000  0.5000  0.5000
Nd  0.5000  0.0000  0.2468
Nd  0.0000  0.5000  0.7532

=====

Model x:
Density functional theory data (GGA-PBE) for a relaxed structure of NdSb2Pd.

symmetry	P4/nmm (129)
volume	207.15	Å³/cell

abc: 5.7820 5.7820 6.1964
angles: 90.00 90.00 90.00
Element x y z (fractional)
Pd  0.7500  0.2500  0.0000
Pd  0.2500  0.7500  0.0000
Nd  0.2500  0.2500  0.3302
Nd  0.7500  0.7500  0.6698
Sb  0.7500  0.7500  0.1619
Sb  0.2500  0.2500  0.8381
Sb  0.2500  0.7500  0.5000
Sb  0.7500  0.2500  0.5000

=====

Relative stability in kJ/mol of atoms, measured from the most stable structure: model w 0.0; model x 35.1

=====

Model w:
Density functional theory data (GGA-PBE) for a relaxed structure of PrNd.

symmetry	P-6m2 (187)
volume	72.68	Å³/cell

abc: 3.7088 3.7088 6.1016
angles: 90.00 90.00 120.00
Element x y z (fractional)
Nd  0.3333  0.6667  0.5000
Pr  0.0000  0.0000  0.0000

=====

Model x:
Density functional theory data (GGA-PBE) for a relaxed structure of PrNd.

symmetry	P6_3/mmc (194)
volume	142.51	Å³/cell

abc: 3.7075 3.7075 11.9715
angles: 90.00 90.00 120.00
Element x y z (fractional)
Nd  0.6667  0.3333  0.7500
Nd  0.3333  0.6667  0.2500
Pr  0.0000  0.0000  0.0000
Pr  0.0000  0.0000  0.5000

=====

Relative stability in kJ/mol of atoms, measured from the most stable structure: model w 3.0; model x 0.0

=====

Model w:
Density functional theory data (GGA-PBE) for a relaxed structure of NdPu3.

symmetry	Pm (6)
volume	221.37	Å³/cell

abc: 5.3930 6.8257 6.9133
angles: 60.45 90.00 90.00
Element x y z (fractional)
Pu  0.0000  0.8315  0.3318
Pu  0.5000  0.6938  0.1606
Pu  0.0000  0.3107  0.8231
Pu  0.0000  0.8574  0.8487
Pu  0.5000  0.1292  0.1703
Pu  0.5000  0.1719  0.6652
Nd  0.0000  0.3421  0.3125
Nd  0.5000  0.6633  0.6878

=====

Model x:
Density functional theory data (GGA-PBE) for a relaxed structure of NdPu3.

symmetry	I4/mmm (139)
volume	117.08	Å³/cell

abc: 6.0255 6.0255 6.0255
angles: 132.38 132.38 69.62
Element x y z (fractional)
Pu  0.7500  0.2500  0.5000
Pu  0.5000  0.5000  0.0000
Pu  0.2500  0.7500  0.5000
Nd  0.0000  0.0000  0.0000

=====

Relative stability in kJ/mol of atoms, measured from the most stable structure: model w 1.4; model x 0.0